Here is crystalline CaMn2O4 at its relaxed geometry from the Materials Project. Energies are from PBE+U. Values from VASP.

Properties
Energy above the lowest structure with this stoichiometry = 0.55 eV per formula unit
Formation energy from the elements = -2.3693 eV per atom
Space group = P1
Crystal system = triclinic
Raw total energy = -7.23 eV/atom

Quantum ESPRESSO input file:
```
&SYSTEM
  ibrav = 0, nat = 42, ntyp = 3
/
ATOMIC_SPECIES
Ca 40.08 Ca.upf
Mn 54.94 Mn.upf
O 16.00 O.upf
CELL_PARAMETERS angstrom
6.054 0.000 0.000
-3.020 5.725 0.000
-0.052 -1.209 15.519
ATOMIC_POSITIONS angstrom
Ca 0.000 0.000 0.000
Ca -0.043 -0.423 6.046
Ca -0.048 3.711 1.634
Ca 0.006 3.399 5.285
Ca -0.046 3.100 11.336
Ca 2.993 1.180 10.478
Mn -1.585 1.875 13.877
Mn -0.048 -0.795 11.989
Mn -1.553 4.171 8.669
Mn -0.062 1.372 8.638
Mn 1.489 0.645 3.454
Mn 1.458 1.872 13.875
Mn 2.968 -0.908 13.929
Mn 2.937 1.423 6.894
Mn 2.994 1.859 0.930
Mn 1.470 4.145 8.673
Mn 4.496 0.682 3.431
Mn 2.999 3.612 3.329
O 0.167 -0.113 2.249
O -1.444 2.444 9.581
O -0.039 1.312 4.470
O -1.636 4.593 4.317
O -0.074 1.187 12.721
O -1.497 3.986 12.905
O 1.374 0.256 7.730
O -0.060 2.596 14.934
O -0.064 3.495 7.518
O 1.696 0.009 15.131
O 1.274 2.231 9.697
O -0.050 4.793 9.758
O 1.687 2.438 2.369
O 2.995 0.115 2.357
O 2.783 1.368 4.762
O 1.391 3.997 12.897
O 2.965 1.192 12.778
O 1.623 4.551 4.293
O 2.962 2.375 15.108
O 4.224 -0.006 15.171
O 2.977 3.482 7.515
O 4.619 0.483 7.580
O 4.289 2.473 2.368
O 3.002 4.827 9.857
```


Here is crystalline CaMn3P4O14 at its relaxed geometry from the Materials Project. Energies are from PBE+U. Values from VASP.

Properties
Formation energy from the elements = -2.7361 eV per atom
Space group = P2_1/c
Crystal system = monoclinic
Raw total energy = -7.54 eV/atom

Quantum ESPRESSO input file:
```
&SYSTEM
  ibrav = 0, nat = 44, ntyp = 4
/
ATOMIC_SPECIES
Ca 40.08 Ca.upf
Mn 54.94 Mn.upf
P 30.97 P.upf
O 16.00 O.upf
CELL_PARAMETERS angstrom
7.679 0.000 0.000
0.000 7.889 0.000
-3.580 0.000 9.017
ATOMIC_POSITIONS angstrom
Ca 0.000 0.000 0.000
Ca -1.790 3.945 4.508
Mn 0.679 0.969 4.240
Mn -1.111 2.976 8.748
Mn 3.840 0.000 0.000
Mn 2.049 3.945 4.508
Mn 5.210 4.913 0.268
Mn 3.420 6.921 4.777
P -1.753 0.515 6.370
P 0.037 3.429 1.862
P 2.194 5.548 1.712
P 0.404 6.286 6.221
P 3.695 1.603 2.796
P 1.905 2.342 7.304
P 4.062 4.460 7.155
P 5.852 7.374 2.647
O -2.131 4.122 7.210
O -0.341 7.712 2.702
O -1.208 1.517 5.354
O 0.582 2.427 0.846
O 0.735 4.861 1.579
O -1.055 6.973 6.087
O -1.398 0.911 7.839
O 0.392 3.034 3.330
O 0.269 4.957 5.480
O 2.059 6.877 0.972
O 3.179 4.603 1.005
O 1.388 7.231 5.514
O 2.456 5.627 3.220
O 0.666 6.208 7.728
O 3.433 1.682 1.288
O 1.643 2.263 5.797
O 2.710 0.658 3.503
O 0.920 3.287 8.011
O 2.040 1.012 8.045
O 3.830 2.932 3.536
O 3.707 4.855 5.686
O 5.497 6.979 1.178
O 5.154 0.916 2.929
O 3.364 3.029 7.438
O 3.517 5.462 8.170
O 5.307 6.372 3.662
O 4.440 0.178 6.315
O 6.230 3.767 1.807
```


Here is crystalline CaMnP4O12 at its relaxed geometry from the Materials Project. Energies are from PBE+U. Values from VASP.

Properties
Formation energy from the elements = -2.7914 eV per atom
Space group = C2/c
Crystal system = monoclinic
Raw total energy = -7.36 eV/atom

Quantum ESPRESSO input file:
```
&SYSTEM
  ibrav = 0, nat = 36, ntyp = 4
/
ATOMIC_SPECIES
Ca 40.08 Ca.upf
Mn 54.94 Mn.upf
P 30.97 P.upf
O 16.00 O.upf
CELL_PARAMETERS angstrom
6.224 -4.401 0.000
6.224 4.401 0.000
-5.059 0.000 9.188
ATOMIC_POSITIONS angstrom
Ca 2.429 4.037 6.891
Ca 4.959 -4.037 2.297
Mn 0.582 2.201 4.594
Mn 3.112 -2.201 0.000
P 6.042 1.995 0.186
P 3.876 1.995 4.408
P -0.214 0.073 7.422
P 2.316 -0.073 2.828
P 5.073 0.073 6.360
P 7.602 -0.073 1.766
P 3.512 -1.995 4.780
P 1.347 -1.995 9.002
O 5.411 3.195 0.785
O 1.004 0.660 3.047
O 4.507 3.195 3.809
O 2.655 2.200 5.289
O 0.059 0.653 6.081
O -0.164 1.220 8.561
O -1.525 -0.660 7.641
O 2.204 2.200 8.492
O 3.532 0.911 3.225
O 2.588 -0.653 1.487
O 6.386 0.911 1.369
O 5.023 1.220 5.221
O 2.365 -1.220 3.967
O 1.002 -0.911 7.819
O 4.800 0.653 7.701
O 3.857 -0.911 5.963
O 5.184 -2.200 0.695
O 8.914 0.660 1.547
O 7.553 -1.220 0.627
O 7.330 -0.653 3.107
O 4.734 -2.200 3.899
O 2.882 -3.195 5.379
O 6.384 -0.660 6.141
O 1.977 -3.195 8.402
```


Here is crystalline CaMnP2O7 at its relaxed geometry from the Materials Project. Energies are from PBE+U. Values from VASP.

Properties
Energy above the lowest structure with this stoichiometry = 0.00 eV per formula unit
Formation energy from the elements = -2.9018 eV per atom
Space group = P-1
Crystal system = triclinic
Raw total energy = -7.46 eV/atom

Quantum ESPRESSO input file:
```
&SYSTEM
  ibrav = 0, nat = 22, ntyp = 4
/
ATOMIC_SPECIES
Ca 40.08 Ca.upf
Mn 54.94 Mn.upf
P 30.97 P.upf
O 16.00 O.upf
CELL_PARAMETERS angstrom
6.635 0.000 0.000
0.885 6.608 0.000
0.454 2.710 6.241
ATOMIC_POSITIONS angstrom
Ca 1.293 2.386 2.062
Ca 6.682 6.932 4.180
Mn 3.003 4.607 4.574
Mn 4.972 4.711 1.668
P 1.725 5.487 1.550
P 3.587 7.924 5.168
P 4.388 1.394 1.073
P 6.250 3.831 4.692
O 0.835 4.751 4.896
O 1.405 6.797 2.244
O 2.302 5.942 0.130
O 2.737 6.738 4.728
O 2.814 4.634 2.259
O 2.835 2.425 4.117
O 3.022 1.800 0.481
O 4.953 7.518 5.761
O 5.140 6.893 2.125
O 5.161 4.684 3.983
O 5.238 2.579 1.513
O 5.673 3.375 6.112
O 6.570 2.520 3.998
O 7.141 4.567 1.346
```


Here is crystalline CaMnP2O7 at its relaxed geometry from the Materials Project. Energies are from PBE+U. Values from VASP.

Properties
Energy above the lowest structure with this stoichiometry = 0.14 eV per formula unit
Formation energy from the elements = -2.8891 eV per atom
Raw total energy = -7.45 eV/atom

Quantum ESPRESSO input file:
```
&SYSTEM
  ibrav = 0, nat = 44, ntyp = 4
/
ATOMIC_SPECIES
O 16.00 O.upf
Mn 54.94 Mn.upf
P 30.97 P.upf
Ca 40.08 Ca.upf
CELL_PARAMETERS angstrom
3.137 -6.486 1.104
-9.065 -5.021 2.822
-1.355 -2.516 -6.708
ATOMIC_POSITIONS angstrom
O -0.497 -4.842 -2.447
O -4.450 -8.965 0.703
O -7.648 -7.653 -3.217
O -6.785 -9.181 -0.336
O 0.365 -6.370 0.434
O 0.170 -3.806 0.642
O -6.472 -12.583 -1.928
O -6.563 -10.564 2.137
O -6.688 -6.311 1.279
O -2.438 -3.884 -1.274
O -4.574 -4.712 -0.154
O -6.020 -5.209 -2.797
O -0.595 -7.712 -4.062
O -8.264 -6.749 -0.968
O -4.229 -11.043 -3.758
O -7.453 -10.217 -3.424
O -2.244 -6.449 -1.481
O -0.811 -1.440 -0.854
O -2.833 -5.058 -3.486
O -2.709 -9.311 -2.628
O -4.845 -10.139 -1.509
O -5.707 -8.611 -4.390
O -0.719 -3.459 -4.919
O 0.981 -7.274 -1.815
O -1.262 -8.814 0.015
O -5.039 -7.575 -1.301
O -1.575 -5.412 1.607
O -3.054 -2.980 0.975
Mn -2.412 -4.580 -5.539
Mn -4.871 -9.443 2.756
Mn -1.015 -8.189 -2.009
Mn -6.267 -5.834 -0.774
P -1.977 -5.109 -2.202
P -3.713 -3.475 -0.323
P 1.640 -6.780 -0.517
P -3.570 -10.548 -2.460
P -8.922 -7.243 -2.266
P -5.832 -6.362 2.563
P -1.450 -7.661 -5.345
P -5.305 -8.914 -0.580
Ca -2.844 -7.200 0.811
Ca 1.011 -5.948 -3.954
Ca -8.293 -8.075 1.171
Ca -4.439 -6.823 -3.594
```


Here is crystalline CaMnP2O7 at its relaxed geometry from the Materials Project. Energies are from PBE+U. Values from VASP.

Properties
Energy above the lowest structure with this stoichiometry = 0.23 eV per formula unit
Formation energy from the elements = -2.8805 eV per atom
Space group = P2_1/c
Crystal system = monoclinic
Raw total energy = -7.44 eV/atom

Quantum ESPRESSO input file:
```
&SYSTEM
  ibrav = 0, nat = 44, ntyp = 4
/
ATOMIC_SPECIES
Ca 40.08 Ca.upf
Mn 54.94 Mn.upf
P 30.97 P.upf
O 16.00 O.upf
CELL_PARAMETERS angstrom
7.461 0.000 0.000
0.000 8.978 0.000
-4.034 0.000 8.428
ATOMIC_POSITIONS angstrom
Ca 0.187 0.475 2.932
Ca -1.830 4.013 7.146
Ca 5.257 4.964 1.282
Ca 3.240 8.502 5.496
Mn -1.547 0.622 7.469
Mn 0.470 3.867 3.255
Mn 2.957 5.111 5.173
Mn 4.974 8.356 0.959
P -3.648 6.633 8.173
P -1.631 6.834 3.959
P 2.257 6.534 2.180
P 0.240 6.933 6.394
P 3.187 2.045 2.035
P 1.170 2.444 6.249
P 5.058 2.144 4.469
P 7.075 2.345 0.255
O -2.441 0.985 5.479
O -0.425 3.504 1.265
O -1.113 5.509 3.380
O -3.130 7.958 7.594
O -3.041 2.203 8.021
O -1.024 2.286 3.807
O 1.397 6.065 0.876
O -0.619 7.401 5.090
O 1.748 2.148 2.562
O -0.269 2.341 6.776
O -0.304 5.629 6.944
O 1.713 7.837 2.730
O 2.075 5.345 3.150
O 0.059 8.122 7.364
O 3.369 0.856 1.064
O 1.352 3.633 5.278
O 1.715 1.140 5.698
O 3.731 3.348 1.484
O 3.696 6.637 1.652
O 1.679 6.830 5.866
O 4.047 1.576 3.338
O 2.030 2.913 7.553
O 4.451 6.692 4.621
O 6.468 6.775 0.407
O 6.557 1.020 0.834
O 4.541 3.469 5.048
O 3.852 5.474 7.163
O 5.869 7.993 2.949
```


Here is crystalline CaMn2P2O8 at its relaxed geometry from the Materials Project. Energies are from PBE+U. Values from VASP.

Properties
Formation energy from the elements = -2.7907 eV per atom
Space group = Cc
Crystal system = monoclinic
Raw total energy = -7.55 eV/atom

Quantum ESPRESSO input file:
```
&SYSTEM
  ibrav = 0, nat = 52, ntyp = 4
/
ATOMIC_SPECIES
Ca 40.08 Ca.upf
Mn 54.94 Mn.upf
P 30.97 P.upf
O 16.00 O.upf
CELL_PARAMETERS angstrom
8.745 -2.547 0.000
8.745 2.547 0.000
-8.320 0.000 15.377
ATOMIC_POSITIONS angstrom
Ca -1.033 0.900 12.143
Ca 4.585 1.652 7.688
Ca 3.127 -0.900 4.455
Ca 8.745 -1.652 0.000
Mn -4.668 0.775 13.769
Mn 3.509 1.061 1.631
Mn 1.837 1.267 9.944
Mn 8.367 1.480 2.844
Mn -0.508 -0.775 6.081
Mn -0.651 -1.061 9.319
Mn 5.997 -1.267 2.255
Mn 4.207 -1.480 10.532
P 6.479 1.174 0.183
P 5.409 1.365 4.277
P 10.920 1.079 0.558
P 5.533 1.072 11.600
P 2.318 -1.174 7.871
P 1.249 -1.365 11.965
P 6.760 -1.079 8.246
P 9.693 -1.072 3.911
O -1.806 0.565 7.020
O -0.897 1.160 9.331
O 2.340 1.120 3.335
O 6.854 2.114 1.384
O 4.933 1.256 0.011
O -1.088 1.648 14.342
O 0.775 0.564 5.143
O -5.966 -0.565 14.708
O 4.646 0.884 5.504
O 6.952 1.265 4.460
O 9.507 1.415 1.110
O 5.040 0.414 3.076
O 4.409 1.378 10.539
O -3.385 -0.564 12.832
O 2.722 0.271 8.271
O -1.820 -1.120 11.024
O 3.263 -1.160 1.643
O 0.880 -0.414 10.764
O 6.882 -0.271 0.582
O 0.773 -1.256 7.700
O 6.797 0.450 7.932
O 9.660 0.457 4.232
O 0.486 -0.884 13.192
O 3.072 -1.648 6.653
O 10.957 -0.450 0.244
O 5.500 -0.457 11.920
O 2.792 -1.265 12.149
O 8.570 -1.378 2.850
O 2.694 -2.114 9.073
O 13.770 0.266 3.873
O 5.347 -1.415 8.799
O 9.610 -0.266 11.561
```


Here is crystalline Ca9MnP7O28 at its relaxed geometry from the Materials Project. Energies are from PBE+U. Values from VASP.

Properties
Energy above the lowest structure with this stoichiometry = 0.00 eV per formula unit
Formation energy from the elements = -3.2019 eV per atom
Space group = R3c
Crystal system = trigonal
Raw total energy = -7.26 eV/atom

Quantum ESPRESSO input file:
```
&SYSTEM
  ibrav = 0, nat = 90, ntyp = 4
/
ATOMIC_SPECIES
Ca 40.08 Ca.upf
Mn 54.94 Mn.upf
P 30.97 P.upf
O 16.00 O.upf
CELL_PARAMETERS angstrom
5.228 3.018 12.539
-5.228 3.018 12.539
0.000 -6.037 12.539
ATOMIC_POSITIONS angstrom
Ca -5.080 -0.446 20.151
Ca -2.154 -1.413 13.882
Ca -2.961 -1.784 25.078
Ca -2.267 1.235 18.808
Ca 0.064 -2.580 18.808
Ca -2.797 -1.759 29.063
Ca -2.431 1.259 22.794
Ca 0.125 -2.735 22.794
Ca -0.147 2.572 13.882
Ca 2.301 -1.158 13.882
Ca 2.927 -4.177 20.151
Ca 2.203 1.346 18.808
Ca -0.064 3.456 25.078
Ca 3.025 -1.673 25.078
Ca 2.306 1.476 22.794
Ca -0.125 3.302 29.063
Ca 2.922 -1.542 29.063
Ca 2.154 4.623 20.151
Mn 0.000 0.000 16.349
Mn 0.000 0.000 35.157
P -2.656 -1.720 17.511
P -2.572 1.299 11.242
P 0.161 -2.877 11.242
P 0.000 0.000 7.146
P -2.855 1.446 15.117
P 0.175 -3.195 15.117
P -2.373 -1.573 21.387
P 2.411 1.578 11.242
P -0.161 3.160 17.511
P 2.817 -1.440 17.511
P 0.000 0.000 25.954
P -0.175 2.842 21.387
P 2.549 -1.269 21.387
P 2.679 1.749 15.117
O -3.933 0.459 14.602
O -1.464 0.164 6.614
O -2.752 -2.148 16.044
O -2.841 0.010 12.077
O -3.851 2.209 11.470
O -3.869 -0.908 18.010
O 0.013 -4.440 11.470
O -2.476 0.870 9.774
O -1.023 -3.770 14.340
O -3.764 -2.301 21.232
O -1.148 -2.232 11.741
O -2.386 -3.008 18.347
O 0.590 -1.350 6.614
O 0.484 -2.580 9.774
O 0.000 0.000 8.672
O -3.197 1.785 16.597
O 0.053 -3.661 16.597
O -2.753 2.771 14.340
O -1.295 -2.560 20.872
O -1.377 -0.809 17.739
O -1.464 0.718 14.963
O -2.475 -0.247 20.609
O -1.359 2.110 11.741
O 0.111 -1.627 14.963
O 1.412 -2.466 12.077
O 0.875 1.186 6.614
O 1.569 -3.635 14.602
O -2.031 -1.233 22.867
O -1.569 2.401 20.872
O 1.992 1.709 9.774
O -0.590 -1.350 25.423
O -1.412 3.571 18.347
O 2.507 0.122 11.741
O -0.013 1.597 17.739
O 1.389 -0.787 17.739
O -0.484 3.457 16.044
O 1.451 -2.019 20.609
O 1.354 0.909 14.963
O 2.721 -2.897 18.010
O 1.430 2.455 12.077
O -0.875 1.186 25.423
O 3.236 -1.309 16.044
O 0.000 0.000 27.481
O -0.053 2.375 22.867
O 2.084 -1.142 22.867
O 1.023 2.267 20.609
O 2.364 3.177 14.602
O 3.838 2.231 11.470
O -0.111 4.410 21.232
O 3.776 0.999 14.339
O 1.148 3.805 18.010
O 3.874 -2.109 21.232
O 3.798 -0.563 18.347
O 1.464 0.164 25.423
O 2.864 0.159 20.872
O 3.144 1.876 16.597
```


Q: What is the raw total energy in the fifth record?
A: -7.45 eV/atom


Q: Which formula does entry 5 have?
A: CaMnP2O7